The following is a DFT calculation (r²SCAN) of crystalline Gd3ScS6 at its relaxed geometry.

Values from the calculation:
**Size of the total moment**: 0.000 μB/atom
**Space-group type**: Pnnm
**Energy of formation**: -2306 meV/atom

Lattice parameters (Å, degrees): 3.846 13.619 16.404 90.00 90.00 90.00
Sites, in units of the cell vectors:
Gd 0.000 0.317 0.149
S 0.000 0.106 0.752
Sc 0.000 0.000 0.500
Gd 0.000 0.454 0.720
Gd 0.500 0.817 0.351
S 0.500 0.979 0.604
S 0.500 0.394 0.252
S 0.000 0.879 0.888
Sc 0.000 0.000 0.000
S 0.500 0.314 0.022
S 0.000 0.479 0.896
S 0.000 0.521 0.104
Gd 0.500 0.046 0.220
S 0.500 0.908 0.078
S 0.000 0.408 0.422
S 0.000 0.592 0.578
Gd 0.000 0.683 0.851
S 0.000 0.186 0.290
S 0.500 0.621 0.388
S 0.500 0.686 0.210
Sc 0.500 0.500 0.000
S 0.500 0.606 0.748
Gd 0.000 0.546 0.280
S 0.000 0.122 0.112
S 0.000 0.814 0.710
S 0.000 0.894 0.248
Gd 0.500 0.954 0.780
S 0.500 0.314 0.790
S 0.500 0.092 0.922
S 0.000 0.186 0.522
S 0.500 0.686 0.978
Gd 0.500 0.251 0.398
S 0.500 0.021 0.396
Gd 0.500 0.749 0.602
Gd 0.500 0.183 0.649
Gd 0.000 0.249 0.898
S 0.500 0.378 0.612
Sc 0.500 0.500 0.500
Gd 0.000 0.751 0.102
S 0.000 0.814 0.478

The following is a DFT calculation (r²SCAN) of crystalline RbAu5 at its relaxed geometry.

Values from the calculation:
**Size of the total moment**: 0.000 μB/atom
**Space-group type**: P6/mmm
**Energy of formation**: -222 meV/atom

Lattice parameters (Å, degrees): 5.818 5.818 4.501 90.00 90.00 120.00
Sites, in units of the cell vectors:
Rb 0.000 0.000 0.000
Au 0.667 0.333 0.000
Au 0.000 0.500 0.500
Au 0.500 0.500 0.500
Au 0.333 0.667 0.000
Au 0.500 0.000 0.500